No. 1
! Li3FePCO7 | the Materials Project database | GGA+U | relaxed; values from VASP
! Formation energy (eV per atom): -2.32
! Raw total energy (eV/atom): -6.6590
! MP2020-corrected energy (eV/atom): -7.20
! Energy above the most stable polymorph in this dataset (kcal/mol of atoms): 0.58
&SYSTEM
  ibrav = 0, nat = 52, ntyp = 5
/
ATOMIC_SPECIES
Li 6.94 Li.upf
Fe 55.84 Fe.upf
P 30.97 P.upf
C 12.01 C.upf
O 16.00 O.upf
CELL_PARAMETERS angstrom
8.556 0.000 0.000
0.000 6.445 0.000
-0.846 0.000 9.749
ATOMIC_POSITIONS crystal
Li 0.101 0.249 0.365
Li 0.101 0.251 0.865
Li 0.283 0.013 0.132
Li 0.283 0.487 0.632
Li 0.351 0.746 0.859
Li 0.351 0.754 0.359
Li 0.649 0.246 0.641
Li 0.649 0.254 0.141
Li 0.717 0.513 0.368
Li 0.717 0.987 0.868
Li 0.899 0.749 0.135
Li 0.899 0.751 0.635
Fe 0.268 0.501 0.121
Fe 0.268 0.999 0.621
Fe 0.732 0.001 0.379
Fe 0.732 0.499 0.879
P 0.408 0.249 0.390
P 0.408 0.251 0.890
P 0.592 0.749 0.110
P 0.592 0.751 0.610
C 0.041 0.744 0.899
C 0.041 0.756 0.399
C 0.959 0.244 0.601
C 0.959 0.256 0.101
O 0.071 0.743 0.274
O 0.071 0.757 0.774
O 0.106 0.244 0.568
O 0.106 0.256 0.068
O 0.152 0.735 0.998
O 0.152 0.765 0.498
O 0.309 0.059 0.340
O 0.309 0.441 0.840
O 0.312 0.059 0.832
O 0.312 0.441 0.332
O 0.422 0.248 0.050
O 0.422 0.252 0.550
O 0.424 0.747 0.659
O 0.424 0.753 0.159
O 0.576 0.247 0.841
O 0.576 0.253 0.341
O 0.578 0.748 0.450
O 0.578 0.752 0.950
O 0.688 0.559 0.668
O 0.688 0.941 0.168
O 0.691 0.559 0.160
O 0.691 0.941 0.660
O 0.848 0.235 0.502
O 0.848 0.265 0.002
O 0.894 0.744 0.932
O 0.894 0.756 0.432
O 0.929 0.243 0.226
O 0.929 0.257 0.726

No. 2
! Rb2VO2F4 | the Materials Project database | GGA+U | relaxed; values from VASP
! Formation energy (eV per atom): -2.56
! Raw total energy (eV/atom): -5.1919
! MP2020-corrected energy (eV/atom): -5.74
! Energy above the most stable polymorph in this dataset (kcal/mol of atoms): 0.00
&SYSTEM
  ibrav = 0, nat = 18, ntyp = 4
/
ATOMIC_SPECIES
Rb 85.47 Rb.upf
V 50.94 V.upf
O 16.00 O.upf
F 19.00 F.upf
CELL_PARAMETERS angstrom
4.269 -4.384 0.000
4.269 4.384 0.000
0.000 0.000 9.296
ATOMIC_POSITIONS crystal
Rb 0.248 0.248 0.000
Rb 0.248 0.248 0.500
Rb 0.752 0.752 0.000
Rb 0.752 0.752 0.500
V 0.254 0.746 0.750
V 0.746 0.254 0.250
O 0.062 0.938 0.750
O 0.480 0.520 0.750
O 0.520 0.480 0.250
O 0.938 0.062 0.250
F 0.074 0.495 0.750
F 0.263 0.737 0.546
F 0.263 0.737 0.954
F 0.495 0.074 0.250
F 0.505 0.926 0.750
F 0.737 0.263 0.046
F 0.737 0.263 0.454
F 0.926 0.505 0.250

No. 3
! Cr2SiO4 | the Materials Project database | GGA+U | relaxed; values from VASP
! Formation energy (eV per atom): -2.51
! Raw total energy (eV/atom): -7.9039
! MP2020-corrected energy (eV/atom): -8.87
&SYSTEM
  ibrav = 0, nat = 14, ntyp = 3
/
ATOMIC_SPECIES
Cr 52.00 Cr.upf
Si 28.09 Si.upf
O 16.00 O.upf
CELL_PARAMETERS angstrom
0.000 4.934 5.700
2.878 0.000 5.700
2.878 4.934 0.000
ATOMIC_POSITIONS crystal
Cr 0.024 0.726 0.024
Cr 0.274 0.976 0.274
Cr 0.726 0.024 0.726
Cr 0.976 0.274 0.976
Si 0.375 0.375 0.375
Si 0.625 0.625 0.625
O 0.180 0.722 0.363
O 0.235 0.363 0.722
O 0.278 0.820 0.765
O 0.363 0.235 0.180
O 0.637 0.765 0.820
O 0.722 0.180 0.235
O 0.765 0.637 0.278
O 0.820 0.278 0.637

No. 4
! Li4V7P6O24 | the Materials Project database | GGA+U | relaxed; values from VASP
! Formation energy (eV per atom): -2.54
! Raw total energy (eV/atom): -7.2697
! MP2020-corrected energy (eV/atom): -7.96
&SYSTEM
  ibrav = 0, nat = 41, ntyp = 4
/
ATOMIC_SPECIES
Li 6.94 Li.upf
V 50.94 V.upf
P 30.97 P.upf
O 16.00 O.upf
CELL_PARAMETERS angstrom
5.529 -7.155 0.000
5.529 7.155 0.000
-1.596 0.000 6.465
ATOMIC_POSITIONS crystal
Li 0.000 0.000 0.000
Li 0.305 0.305 0.940
Li 0.485 0.792 0.959
Li 0.792 0.485 0.959
V 0.214 0.604 0.297
V 0.241 0.241 0.488
V 0.261 0.888 0.680
V 0.604 0.214 0.297
V 0.619 0.860 0.492
V 0.860 0.619 0.492
V 0.888 0.261 0.680
P 0.144 0.531 0.778
P 0.331 0.960 0.206
P 0.531 0.144 0.778
P 0.545 0.545 0.523
P 0.930 0.930 0.448
P 0.960 0.331 0.206
O 0.022 0.849 0.594
O 0.031 0.031 0.325
O 0.139 0.355 0.275
O 0.140 0.353 0.723
O 0.206 0.632 0.624
O 0.225 0.911 0.991
O 0.253 0.597 0.989
O 0.263 0.858 0.355
O 0.353 0.140 0.723
O 0.355 0.139 0.275
O 0.440 0.440 0.634
O 0.456 0.634 0.387
O 0.504 0.948 0.210
O 0.520 0.964 0.761
O 0.597 0.253 0.989
O 0.632 0.206 0.624
O 0.634 0.456 0.387
O 0.680 0.680 0.677
O 0.793 0.793 0.310
O 0.849 0.022 0.594
O 0.858 0.263 0.355
O 0.911 0.225 0.991
O 0.948 0.504 0.210
O 0.964 0.520 0.761

No. 5
! KFeS2O9 | the Materials Project database | GGA+U | relaxed; values from VASP
! Formation energy (eV per atom): -1.67
! Raw total energy (eV/atom): -5.8154
! MP2020-corrected energy (eV/atom): -6.46
&SYSTEM
  ibrav = 0, nat = 26, ntyp = 4
/
ATOMIC_SPECIES
K 39.10 K.upf
Fe 55.84 Fe.upf
S 32.06 S.upf
O 16.00 O.upf
CELL_PARAMETERS angstrom
8.106 0.000 0.000
0.000 5.209 0.000
-2.057 0.000 9.016
ATOMIC_POSITIONS crystal
K 0.076 0.250 0.217
K 0.924 0.750 0.783
Fe 0.412 0.750 0.774
Fe 0.588 0.250 0.226
S 0.168 0.250 0.654
S 0.346 0.750 0.118
S 0.654 0.250 0.882
S 0.832 0.750 0.346
O 0.017 0.750 0.376
O 0.162 0.750 0.066
O 0.230 0.017 0.749
O 0.230 0.483 0.749
O 0.239 0.250 0.520
O 0.393 0.750 0.546
O 0.400 0.516 0.212
O 0.400 0.984 0.212
O 0.437 0.750 0.995
O 0.563 0.250 0.005
O 0.600 0.016 0.788
O 0.600 0.484 0.788
O 0.607 0.250 0.454
O 0.761 0.750 0.480
O 0.770 0.517 0.251
O 0.770 0.983 0.251
O 0.838 0.250 0.934
O 0.983 0.250 0.624

No. 6
! Ca2SbWO6 | the Materials Project database | GGA+U | relaxed; values from VASP
! Formation energy (eV per atom): -2.50
! Raw total energy (eV/atom): -6.7249
! MP2020-corrected energy (eV/atom): -7.58
! Energy above the most stable polymorph in this dataset (kcal/mol of atoms): 0.62
&SYSTEM
  ibrav = 0, nat = 10, ntyp = 4
/
ATOMIC_SPECIES
Ca 40.08 Ca.upf
Sb 121.76 Sb.upf
W 183.84 W.upf
O 16.00 O.upf
CELL_PARAMETERS angstrom
5.658 0.000 0.000
2.549 5.372 0.000
2.475 0.805 5.515
ATOMIC_POSITIONS crystal
Ca 0.000 0.000 0.000
Ca 0.493 0.436 0.423
Sb 0.772 0.622 0.779
W 0.239 0.042 0.386
O 0.104 0.300 0.636
O 0.324 0.790 0.186
O 0.533 0.154 0.197
O 0.535 0.745 0.570
O 0.948 0.257 0.258
O 0.977 0.861 0.676

No. 7
! Sr7CaFe5Co3O20 | the Materials Project database | GGA+U | relaxed; values from VASP
! Formation energy (eV per atom): -2.27
! Raw total energy (eV/atom): -6.3360
! MP2020-corrected energy (eV/atom): -7.17
&SYSTEM
  ibrav = 0, nat = 144, ntyp = 5
/
ATOMIC_SPECIES
Sr 87.62 Sr.upf
Ca 40.08 Ca.upf
Fe 55.84 Fe.upf
Co 58.93 Co.upf
O 16.00 O.upf
CELL_PARAMETERS angstrom
10.920 0.000 0.000
-0.033 11.357 0.000
-5.432 -5.662 15.902
ATOMIC_POSITIONS crystal
Sr 0.000 0.000 0.000
Sr 0.000 0.001 0.501
Sr 0.000 0.502 0.502
Sr 0.002 0.501 0.999
Sr 0.140 0.140 0.284
Sr 0.142 0.642 0.283
Sr 0.144 0.639 0.782
Sr 0.145 0.145 0.782
Sr 0.250 0.235 0.503
Sr 0.251 0.735 0.502
Sr 0.253 0.232 0.000
Sr 0.253 0.730 0.999
Sr 0.395 0.873 0.283
Sr 0.396 0.870 0.783
Sr 0.397 0.374 0.283
Sr 0.502 0.500 0.998
Sr 0.504 0.997 0.999
Sr 0.505 0.001 0.502
Sr 0.508 0.501 0.504
Sr 0.638 0.143 0.782
Sr 0.643 0.141 0.283
Sr 0.648 0.639 0.283
Sr 0.749 0.231 0.999
Sr 0.753 0.731 0.998
Sr 0.754 0.235 0.505
Sr 0.758 0.733 0.504
Sr 0.891 0.374 0.283
Sr 0.892 0.872 0.282
Ca 0.393 0.372 0.787
Ca 0.644 0.648 0.786
Ca 0.890 0.869 0.786
Ca 0.891 0.374 0.787
Fe 0.051 0.347 0.642
Fe 0.053 0.849 0.647
Fe 0.054 0.346 0.142
Fe 0.054 0.846 0.142
Fe 0.198 0.436 0.393
Fe 0.198 0.938 0.393
Fe 0.303 0.028 0.142
Fe 0.303 0.029 0.642
Fe 0.305 0.528 0.143
Fe 0.306 0.524 0.643
Fe 0.450 0.187 0.392
Fe 0.553 0.345 0.141
Fe 0.553 0.351 0.646
Fe 0.554 0.845 0.142
Fe 0.557 0.843 0.642
Fe 0.803 0.526 0.139
Fe 0.803 0.530 0.648
Fe 0.805 0.029 0.145
Fe 0.805 0.029 0.646
Fe 0.947 0.185 0.886
Co 0.198 0.933 0.886
Co 0.199 0.435 0.888
Co 0.450 0.187 0.891
Co 0.450 0.682 0.886
Co 0.451 0.689 0.393
Co 0.697 0.435 0.885
Co 0.698 0.933 0.886
Co 0.703 0.436 0.393
Co 0.704 0.937 0.390
Co 0.947 0.187 0.393
Co 0.947 0.683 0.885
Co 0.950 0.687 0.392
O 0.015 0.237 0.528
O 0.028 0.234 0.031
O 0.028 0.734 0.539
O 0.029 0.734 0.033
O 0.064 0.054 0.879
O 0.066 0.059 0.386
O 0.067 0.552 0.879
O 0.074 0.316 0.400
O 0.074 0.559 0.386
O 0.076 0.816 0.400
O 0.077 0.317 0.897
O 0.081 0.823 0.896
O 0.127 0.002 0.143
O 0.128 0.000 0.642
O 0.128 0.500 0.142
O 0.129 0.499 0.641
O 0.137 0.347 0.254
O 0.137 0.847 0.254
O 0.144 0.841 0.754
O 0.145 0.338 0.746
O 0.273 0.030 0.530
O 0.278 0.524 0.530
O 0.279 0.034 0.035
O 0.282 0.535 0.035
O 0.315 0.052 0.884
O 0.319 0.062 0.385
O 0.320 0.552 0.879
O 0.326 0.313 0.898
O 0.327 0.316 0.400
O 0.328 0.564 0.385
O 0.328 0.819 0.401
O 0.330 0.812 0.900
O 0.377 0.371 0.650
O 0.377 0.373 0.142
O 0.378 0.873 0.142
O 0.382 0.877 0.643
O 0.385 0.148 0.748
O 0.388 0.141 0.253
O 0.390 0.640 0.253
O 0.392 0.642 0.748
O 0.526 0.232 0.032
O 0.526 0.239 0.535
O 0.530 0.733 0.531
O 0.531 0.733 0.034
O 0.567 0.552 0.874
O 0.569 0.053 0.882
O 0.570 0.056 0.387
O 0.576 0.319 0.897
O 0.577 0.314 0.401
O 0.578 0.812 0.399
O 0.581 0.549 0.386
O 0.581 0.814 0.897
O 0.626 0.510 0.651
O 0.627 0.499 0.141
O 0.628 0.000 0.143
O 0.629 0.000 0.643
O 0.638 0.341 0.250
O 0.638 0.844 0.253
O 0.642 0.829 0.747
O 0.648 0.338 0.750
O 0.778 0.529 0.537
O 0.779 0.532 0.031
O 0.780 0.030 0.535
O 0.785 0.039 0.039
O 0.816 0.555 0.874
O 0.817 0.055 0.879
O 0.817 0.059 0.386
O 0.824 0.316 0.400
O 0.825 0.561 0.384
O 0.827 0.814 0.401
O 0.828 0.314 0.897
O 0.828 0.814 0.896
O 0.878 0.372 0.141
O 0.878 0.874 0.142
O 0.878 0.877 0.652
O 0.879 0.377 0.652
O 0.885 0.139 0.259
O 0.888 0.152 0.752
O 0.888 0.641 0.247
O 0.893 0.652 0.751

No. 8
! Fe2Co3O10 | the Materials Project database | GGA+U | relaxed; values from VASP
! Formation energy (eV per atom): -1.09
! Raw total energy (eV/atom): -5.8544
! MP2020-corrected energy (eV/atom): -6.94
&SYSTEM
  ibrav = 0, nat = 30, ntyp = 3
/
ATOMIC_SPECIES
Fe 55.84 Fe.upf
Co 58.93 Co.upf
O 16.00 O.upf
CELL_PARAMETERS angstrom
5.026 0.000 0.000
0.000 2.905 0.000
-1.427 0.000 23.509
ATOMIC_POSITIONS crystal
Fe 0.000 0.000 0.000
Fe 0.190 0.000 0.595
Fe 0.393 0.500 0.698
Fe 0.601 0.000 0.800
Co 0.201 0.500 0.101
Co 0.398 0.000 0.199
Co 0.596 0.500 0.298
Co 0.792 0.000 0.397
Co 0.798 0.500 0.900
Co 0.992 0.500 0.494
O 0.066 0.500 0.642
O 0.095 0.000 0.448
O 0.099 0.000 0.147
O 0.100 0.500 0.949
O 0.287 0.000 0.749
O 0.295 0.500 0.246
O 0.298 0.500 0.545
O 0.311 0.000 0.055
O 0.492 0.000 0.345
O 0.496 0.500 0.851
O 0.498 0.000 0.646
O 0.499 0.500 0.153
O 0.688 0.000 0.945
O 0.689 0.500 0.443
O 0.700 0.000 0.252
O 0.720 0.500 0.753
O 0.884 0.000 0.541
O 0.896 0.500 0.351
O 0.897 0.500 0.051
O 0.906 0.000 0.854

No. 9
! Li3Co2O5 | the Materials Project database | GGA+U | relaxed; values from VASP
! Formation energy (eV per atom): -1.69
! Raw total energy (eV/atom): -5.4830
! MP2020-corrected energy (eV/atom): -6.15
! Energy above the most stable polymorph in this dataset (kcal/mol of atoms): 1.29
&SYSTEM
  ibrav = 0, nat = 20, ntyp = 3
/
ATOMIC_SPECIES
Li 6.94 Li.upf
Co 58.93 Co.upf
O 16.00 O.upf
CELL_PARAMETERS angstrom
12.012 -1.480 0.000
12.012 1.480 0.000
-0.496 0.000 5.023
ATOMIC_POSITIONS crystal
Li 0.000 0.000 0.000
Li 0.099 0.099 0.703
Li 0.300 0.300 0.099
Li 0.500 0.500 0.500
Li 0.700 0.700 0.901
Li 0.901 0.901 0.297
Co 0.199 0.199 0.392
Co 0.405 0.405 0.811
Co 0.595 0.595 0.189
Co 0.801 0.801 0.608
O 0.054 0.054 0.345
O 0.148 0.148 0.063
O 0.252 0.252 0.733
O 0.350 0.350 0.491
O 0.445 0.445 0.115
O 0.555 0.555 0.885
O 0.650 0.650 0.509
O 0.748 0.748 0.267
O 0.852 0.852 0.937
O 0.946 0.946 0.655